No. 1
This record from the Materials Project database describes an optimized crystal structure of Si6BiH54C18N4Cl. The functional is PBE-GGA.

Cell and atoms, written as CIF:
```
data_Si6BiH54C18N4Cl
_symmetry_space_group_name_H-M 'C 1 2/c 1'
_symmetry_Int_Tables_number 15
_symmetry_space_group_name_Hall '-C 2yc'
_cell_length_a 17.763
_cell_length_b 9.411
_cell_length_c 47.741
_cell_angle_alpha 90.00
_cell_angle_beta 90.37
_cell_angle_gamma 90.00
loop_
_atom_site_label
_atom_site_type_symbol
_atom_site_fract_x
_atom_site_fract_y
_atom_site_fract_z
Si1 Si 0.003 0.062 0.422
Si2 Si 0.092 0.298 0.046
Si3 Si 0.100 0.059 0.689
Si4 Si 0.143 0.260 0.201
Si5 Si 0.198 0.485 0.831
Si6 Si 0.212 0.034 0.566
Bi1 Bi 0.163 0.197 0.123
H1 H 0.002 0.290 0.197
H2 H 0.003 0.181 0.557
H3 H 0.004 0.057 0.283
H4 H 0.005 0.447 0.429
H5 H 0.006 0.092 0.130
H6 H 0.022 0.296 0.487
H7 H 0.030 0.110 0.797
H8 H 0.031 0.042 0.319
H9 H 0.041 0.239 0.386
H10 H 0.047 0.178 0.911
H11 H 0.048 0.451 0.206
H12 H 0.049 0.176 0.001
H13 H 0.049 0.390 0.171
H14 H 0.051 0.259 0.662
H15 H 0.053 0.176 0.589
H16 H 0.056 0.447 0.550
H17 H 0.061 0.362 0.997
H18 H 0.073 0.069 0.468
H19 H 0.075 0.479 0.853
H20 H 0.084 0.125 0.639
H21 H 0.088 0.073 0.381
H22 H 0.088 0.486 0.083
H23 H 0.093 0.225 0.449
H24 H 0.097 0.150 0.246
H25 H 0.107 0.263 0.722
H26 H 0.111 0.476 0.790
H27 H 0.118 0.146 0.534
H28 H 0.123 0.317 0.860
H29 H 0.126 0.102 0.740
H30 H 0.133 0.060 0.439
H31 H 0.133 0.323 0.252
H32 H 0.137 0.282 0.323
H33 H 0.144 0.474 0.879
H34 H 0.149 0.239 0.656
H35 H 0.150 0.305 0.796
H36 H 0.150 0.460 0.442
H37 H 0.167 0.008 0.516
H38 H 0.174 0.380 0.925
H39 H 0.176 0.254 0.592
H40 H 0.190 0.397 0.961
H41 H 0.193 0.437 0.025
H42 H 0.196 0.178 0.247
H43 H 0.197 0.182 0.720
H44 H 0.204 0.437 0.779
H45 H 0.204 0.492 0.204
H46 H 0.210 0.264 0.349
H47 H 0.211 0.175 0.522
H48 H 0.216 0.254 0.023
H49 H 0.226 0.141 0.798
H50 H 0.226 0.412 0.171
H51 H 0.228 0.241 0.419
H52 H 0.228 0.347 0.056
H53 H 0.232 0.272 0.313
H54 H 0.246 0.156 0.611
C1 C 0.000 0.010 0.699
C2 C 0.003 0.136 0.578
C3 C 0.033 0.123 0.387
C4 C 0.039 0.280 0.011
C5 C 0.052 0.355 0.193
C6 C 0.054 0.460 0.064
C7 C 0.082 0.111 0.447
C8 C 0.097 0.180 0.658
C9 C 0.129 0.432 0.859
C10 C 0.137 0.160 0.721
C11 C 0.142 0.223 0.240
C12 C 0.163 0.419 0.796
C13 C 0.173 0.096 0.531
C14 C 0.192 0.336 0.037
C15 C 0.192 0.455 0.941
C16 C 0.195 0.315 0.329
C17 C 0.219 0.391 0.194
C18 C 0.228 0.190 0.590
N1 N 0.084 0.144 0.067
N2 N 0.149 0.085 0.082
N3 N 0.153 0.098 0.182
N4 N 0.213 0.088 0.161
Cl1 Cl 0.230 0.130 0.888
```

Properties
The formation energy is -17.6 eV/f.u. The raw total energy is -5.214 eV per atom.

No. 2
This record from the Materials Project database describes an optimized crystal structure of BiC4S2Cl3O2. The functional is PBE-GGA.

Cell and atoms, written as CIF:
```
data_BiC4S2Cl3O2
_symmetry_space_group_name_H-M 'C 1 2 1'
_symmetry_Int_Tables_number 5
_symmetry_space_group_name_Hall 'C 2y'
_cell_length_a 16.824
_cell_length_b 8.761
_cell_length_c 9.754
_cell_angle_alpha 90.00
_cell_angle_beta 110.49
_cell_angle_gamma 90.00
loop_
_atom_site_label
_atom_site_type_symbol
_atom_site_fract_x
_atom_site_fract_y
_atom_site_fract_z
Bi1 Bi 0.194 0.000 0.321
C1 C 0.028 0.424 0.775
C2 C 0.040 0.448 0.195
C3 C 0.120 0.939 0.762
C4 C 0.172 0.894 0.699
S1 S 0.027 0.901 0.764
S2 S 0.084 0.421 0.671
Cl1 Cl 0.120 0.794 0.134
Cl2 Cl 0.159 0.195 0.120
Cl3 Cl 0.204 0.226 0.532
O1 O 0.034 0.030 0.297
O2 O 0.166 0.505 0.737
```

Properties
The formation energy is 4.2 eV/f.u. The raw total energy is -4.908 eV per atom.

No. 3
This record from the Materials Project database describes an optimized crystal structure of BiC4S2Cl3O2. The functional is PBE-GGA.

Cell and atoms, written as CIF:
```
data_BiC4S2Cl3O2
_symmetry_space_group_name_H-M 'C 1 2 1'
_symmetry_Int_Tables_number 5
_symmetry_space_group_name_Hall 'C 2y'
_cell_length_a 16.122
_cell_length_b 10.259
_cell_length_c 8.483
_cell_angle_alpha 90.00
_cell_angle_beta 108.50
_cell_angle_gamma 90.00
loop_
_atom_site_label
_atom_site_type_symbol
_atom_site_fract_x
_atom_site_fract_y
_atom_site_fract_z
Bi1 Bi 0.202 0.000 0.431
C1 C 0.019 0.434 0.943
C2 C 0.054 0.447 0.829
C3 C 0.095 0.910 0.732
C4 C 0.155 0.921 0.669
S1 S 0.013 0.959 0.794
S2 S 0.141 0.478 0.779
Cl1 Cl 0.063 0.779 0.216
Cl2 Cl 0.170 0.110 0.137
Cl3 Cl 0.215 0.217 0.579
O1 O 0.047 0.032 0.353
O2 O 0.127 0.504 0.598
```

Properties
The formation energy is 0.3 eV/f.u. The raw total energy is -5.234 eV per atom.

No. 4
This record from the Materials Project database describes an optimized crystal structure of DyBi2C. The functional is PBE-GGA.

Cell and atoms, written as CIF:
```
data_DyBi2C
_symmetry_space_group_name_H-M 'P 42/m b c'
_symmetry_Int_Tables_number 135
_symmetry_space_group_name_Hall '-P 4c 2ab'
_cell_length_a 11.551
_cell_length_b 11.551
_cell_length_c 5.659
_cell_angle_alpha 90.00
_cell_angle_beta 90.00
_cell_angle_gamma 90.00
loop_
_atom_site_label
_atom_site_type_symbol
_atom_site_fract_x
_atom_site_fract_y
_atom_site_fract_z
Dy1 Dy 0.163 0.337 0.250
Bi1 Bi 0.062 0.123 0.000
Bi2 Bi 0.109 0.609 0.000
C1 C 0.073 0.146 0.500
```

Properties
The formation energy is 3.1 eV/f.u. The raw total energy is -4.619 eV per atom.